Entry 1
Crystalline ZnNi2O4 at its relaxed geometry, computed with PBE with a Hubbard U.

Unit cell a=7.1427 b=7.1427 c=9.2307 alpha=129.25 beta=129.25 gamma=23.99
Atoms (fractional coordinates):
Zn: 0.1679 0.1679 0.1778
Zn: 0.8321 0.8321 0.8222
Ni: 0.1386 0.1386 0.4629
Ni: 0.3591 0.3591 0.1901
Ni: 0.6409 0.6409 0.8099
Ni: 0.8614 0.8614 0.5371
O: 0.0306 0.0306 0.7475
O: 0.2932 0.2932 0.9282
O: 0.3256 0.3256 0.6570
O: 0.3643 0.3643 0.4076
O: 0.6357 0.6357 0.5924
O: 0.6744 0.6744 0.3430
O: 0.7068 0.7068 0.0718
O: 0.9694 0.9694 0.2525

Summary:
Its total magnetic moment is 2.00 μB per formula unit.

Entry 2
Crystalline ZnNi2O4 at its relaxed geometry, computed with PBE with a Hubbard U.

Unit cell a=5.8309 b=5.8397 c=5.8806 alpha=119.55 beta=119.60 gamma=90.05
Atoms (fractional coordinates):
Zn: 0.1209 0.3793 0.2533
Zn: 0.8791 0.6207 0.7467
Ni: 0.0000 0.0000 0.5000
Ni: 0.5000 0.0000 0.0000
Ni: 0.5000 0.0000 0.5000
Ni: 0.5000 0.5000 0.0000
O: 0.2534 0.2235 0.5110
O: 0.2549 0.7910 0.5449
O: 0.2671 0.2641 0.9909
O: 0.2930 0.7652 0.0314
O: 0.7070 0.2348 0.9686
O: 0.7329 0.7359 0.0091
O: 0.7451 0.2090 0.4551
O: 0.7466 0.7765 0.4890

Summary:
Its total magnetic moment is 1.99 μB per formula unit.

Which structure is most stable? entry 2, by 15.0 kJ/mol of atoms over the runner-up.

Entry 1
Crystalline ZnNi2O4 at its relaxed geometry, computed with PBE with a Hubbard U.

Unit cell a=8.7404 b=2.8857 c=10.2997 alpha=90.00 beta=90.00 gamma=90.00
Atoms (fractional coordinates):
Zn: 0.2455 0.2500 0.1596
Zn: 0.2545 0.7500 0.6596
Zn: 0.7455 0.2500 0.3404
Zn: 0.7545 0.7500 0.8404
Ni: 0.0613 0.2500 0.3841
Ni: 0.0855 0.2500 0.8997
Ni: 0.4145 0.7500 0.3997
Ni: 0.4387 0.7500 0.8841
Ni: 0.5613 0.2500 0.1159
Ni: 0.5855 0.2500 0.6003
Ni: 0.9145 0.7500 0.1003
Ni: 0.9387 0.7500 0.6159
O: 0.0273 0.7500 0.7886
O: 0.0960 0.2500 0.5735
O: 0.1193 0.7500 0.0319
O: 0.2123 0.7500 0.3251
O: 0.2877 0.2500 0.8251
O: 0.3807 0.2500 0.5319
O: 0.4040 0.7500 0.0735
O: 0.4727 0.2500 0.2886
O: 0.5273 0.7500 0.7114
O: 0.5960 0.2500 0.9265
O: 0.6193 0.7500 0.4681
O: 0.7123 0.7500 0.1749
O: 0.7877 0.2500 0.6749
O: 0.8807 0.2500 0.9681
O: 0.9040 0.7500 0.4265
O: 0.9727 0.2500 0.2114

Summary:
Its total magnetic moment is 2.00 μB per formula unit.

Entry 2
Crystalline ZnNi2O4 at its relaxed geometry, computed with PBE with a Hubbard U.

Unit cell a=5.8928 b=5.8928 c=14.5101 alpha=90.00 beta=90.00 gamma=120.00
Atoms (fractional coordinates):
Zn: 0.0000 0.0000 0.0000
Zn: 0.0000 0.0000 0.2437
Zn: 0.0000 0.0000 0.6250
Zn: 0.3333 0.6667 0.5773
Zn: 0.6667 0.3333 0.2902
Zn: 0.6667 0.3333 0.9122
Ni: 0.0000 0.5000 0.1222
Ni: 0.1677 0.3355 0.7910
Ni: 0.1677 0.8323 0.7910
Ni: 0.3319 0.1660 0.4575
Ni: 0.3333 0.6667 0.3372
Ni: 0.3333 0.6667 0.9573
Ni: 0.5000 0.0000 0.1222
Ni: 0.5000 0.5000 0.1222
Ni: 0.6645 0.8323 0.7910
Ni: 0.6667 0.3333 0.6680
Ni: 0.8340 0.1660 0.4575
Ni: 0.8340 0.6681 0.4575
O: 0.0000 0.0000 0.3780
O: 0.0000 0.0000 0.8630
O: 0.0331 0.5165 0.8706
O: 0.1521 0.3042 0.5301
O: 0.1521 0.8479 0.5301
O: 0.1837 0.3673 0.0468
O: 0.1837 0.8163 0.0468
O: 0.3193 0.1597 0.7148
O: 0.3333 0.6667 0.1998
O: 0.3333 0.6667 0.7155
O: 0.3601 0.1801 0.1951
O: 0.4835 0.5165 0.8706
O: 0.4835 0.9669 0.8706
O: 0.5130 0.0260 0.3856
O: 0.5130 0.4870 0.3856
O: 0.6327 0.8163 0.0468
O: 0.6667 0.3333 0.0481
O: 0.6667 0.3333 0.5397
O: 0.6958 0.8479 0.5301
O: 0.8199 0.1801 0.1951
O: 0.8199 0.6399 0.1951
O: 0.8403 0.1597 0.7148
O: 0.8403 0.6807 0.7148
O: 0.9740 0.4870 0.3856

Summary:
Its total magnetic moment is 2.33 μB per formula unit.

Entry 3
Crystalline ZnNi2O4 at its relaxed geometry, computed with PBE with a Hubbard U.

Unit cell a=5.8665 b=5.8736 c=14.3839 alpha=88.86 beta=89.17 gamma=60.82
Atoms (fractional coordinates):
Zn: 0.0000 0.0000 0.0000
Zn: 0.0025 0.9997 0.6203
Zn: 0.0091 0.9953 0.2455
Zn: 0.3184 0.3500 0.3308
Zn: 0.6583 0.6764 0.6658
Zn: 0.6624 0.6660 0.9098
Ni: 0.0011 0.4965 0.1228
Ni: 0.1640 0.1679 0.7883
Ni: 0.1645 0.6663 0.7894
Ni: 0.3307 0.3312 0.9568
Ni: 0.3341 0.8385 0.4534
Ni: 0.3418 0.3220 0.5763
Ni: 0.5032 0.4963 0.1214
Ni: 0.5026 0.9980 0.1216
Ni: 0.6632 0.6757 0.2872
Ni: 0.6650 0.1671 0.7882
Ni: 0.8295 0.8377 0.4534
Ni: 0.8308 0.3359 0.4542
O: 0.0051 0.0120 0.8630
O: 0.0197 0.9939 0.3832
O: 0.0320 0.4799 0.8651
O: 0.1640 0.1960 0.0487
O: 0.1688 0.6865 0.5259
O: 0.1759 0.1359 0.5286
O: 0.1892 0.6341 0.0474
O: 0.3013 0.8522 0.7163
O: 0.3246 0.3212 0.7112
O: 0.3529 0.3242 0.1939
O: 0.3756 0.8276 0.2029
O: 0.4786 0.0332 0.8646
O: 0.4810 0.4812 0.8614
O: 0.4965 0.5453 0.3736
O: 0.5013 0.9842 0.3790
O: 0.6352 0.1632 0.0417
O: 0.6472 0.6781 0.5268
O: 0.6517 0.6715 0.0487
O: 0.6947 0.1330 0.5309
O: 0.8138 0.3598 0.1975
O: 0.8361 0.7977 0.1999
O: 0.8448 0.3111 0.7126
O: 0.8479 0.8463 0.7176
O: 0.9504 0.5441 0.3719

Summary:
Its total magnetic moment is 2.00 μB per formula unit.

Which structure is most stable? entry 3, by 2.4 kJ/mol of atoms over the runner-up.

Entry 1
Crystalline Li3Mn2O5 at its relaxed geometry, computed with PBE with a Hubbard U.

Unit cell a=2.9665 b=6.4652 c=9.9246 alpha=79.10 beta=86.88 gamma=76.81
Atoms (fractional coordinates):
Li: 0.0000 0.0000 0.0000
Li: 0.0707 0.8104 0.2859
Li: 0.3023 0.3819 0.8973
Li: 0.5000 0.0000 0.5000
Li: 0.6977 0.6181 0.1027
Li: 0.9293 0.1896 0.7141
Mn: 0.2172 0.5918 0.6037
Mn: 0.3835 0.1966 0.1914
Mn: 0.6165 0.8034 0.8086
Mn: 0.7828 0.4082 0.3963
O: 0.0975 0.8748 0.6684
O: 0.1437 0.7079 0.9312
O: 0.2069 0.4890 0.2510
O: 0.3787 0.3090 0.5423
O: 0.4694 0.0770 0.8448
O: 0.5306 0.9230 0.1552
O: 0.6213 0.6910 0.4577
O: 0.7931 0.5110 0.7490
O: 0.8563 0.2921 0.0688
O: 0.9025 0.1252 0.3316

Summary:
Its total magnetic moment is 0.00 μB per formula unit.

Entry 2
Crystalline Li3Mn2O5 at its relaxed geometry, computed with PBE with a Hubbard U.

Unit cell a=7.8980 b=7.8980 c=8.1356 alpha=104.67 beta=104.67 gamma=21.73
Atoms (fractional coordinates):
Li: 0.0000 0.0000 0.0000
Li: 0.0000 0.0000 0.5000
Li: 0.1911 0.1911 0.0977
Li: 0.4010 0.4010 0.7152
Li: 0.5990 0.5990 0.2848
Li: 0.8089 0.8089 0.9023
Mn: 0.1967 0.1967 0.5962
Mn: 0.4038 0.4038 0.1942
Mn: 0.5962 0.5962 0.8058
Mn: 0.8033 0.8033 0.4038
O: 0.0125 0.0125 0.7582
O: 0.1880 0.1880 0.8317
O: 0.2013 0.2013 0.3622
O: 0.3963 0.3963 0.9659
O: 0.3984 0.3984 0.4375
O: 0.6016 0.6016 0.5625
O: 0.6037 0.6037 0.0341
O: 0.7987 0.7987 0.6378
O: 0.8120 0.8120 0.1683
O: 0.9875 0.9875 0.2418

Summary:
Its total magnetic moment is 7.00 μB per formula unit.

Entry 3
Crystalline Li3Mn2O5 at its relaxed geometry, computed with PBE with a Hubbard U.

Unit cell a=5.2417 b=5.9390 c=6.5068 alpha=104.48 beta=95.68 gamma=109.61
Atoms (fractional coordinates):
Li: 0.0000 0.0000 0.0000
Li: 0.0000 0.5000 0.0000
Li: 0.2088 0.3979 0.4004
Li: 0.3907 0.7952 0.8107
Li: 0.6093 0.2048 0.1893
Li: 0.7912 0.6021 0.5996
Mn: 0.1991 0.8968 0.3994
Mn: 0.4008 0.3006 0.8017
Mn: 0.5992 0.6994 0.1983
Mn: 0.8009 0.1032 0.6006
O: 0.1143 0.4184 0.7031
O: 0.1224 0.9615 0.7003
O: 0.3238 0.8386 0.1262
O: 0.3271 0.3600 0.0921
O: 0.4791 0.2438 0.5129
O: 0.5209 0.7562 0.4871
O: 0.6729 0.6400 0.9079
O: 0.6762 0.1614 0.8738
O: 0.8776 0.0385 0.2997
O: 0.8857 0.5816 0.2969

Summary:
Its total magnetic moment is 0.00 μB per formula unit.

Which structure is most stable? entry 3, by 3.1 kJ/mol of atoms over the runner-up.